# 1
Material: Na2Ga2Si3H4O12
Method: DFT, GGA-PBE
State: relaxed

Unit cell a=7.988 b=9.003 c=16.948 alpha=100.28 beta=100.95 gamma=92.80
Positions (direct):
Na 0.000 0.000 0.000
Na 0.008 0.071 0.251
Na 0.052 0.662 0.712
Na 0.179 0.319 0.524
Na 0.478 0.067 0.500
Na 0.513 0.649 0.025
Na 0.708 0.785 0.356
Na 0.748 0.377 0.895
Ga 0.069 0.587 0.040
Ga 0.100 0.898 0.456
Ga 0.133 0.033 0.663
Ga 0.159 0.441 0.252
Ga 0.259 0.160 0.132
Ga 0.615 0.061 0.999
Ga 0.635 0.411 0.540
Ga 0.965 0.427 0.348
Si 0.010 0.007 0.813
Si 0.221 0.279 0.948
Si 0.380 0.698 0.193
Si 0.440 0.574 0.761
Si 0.489 0.047 0.258
Si 0.494 0.255 0.686
Si 0.510 0.686 0.494
Si 0.637 0.459 0.214
Si 0.700 0.169 0.374
Si 0.753 0.802 0.866
Si 0.840 0.151 0.731
Si 0.898 0.625 0.501
H 0.009 0.347 0.803
H 0.149 0.778 0.284
H 0.233 0.986 0.088
H 0.257 0.492 0.834
H 0.268 0.270 0.809
H 0.342 0.694 0.365
H 0.387 0.582 0.621
H 0.392 0.932 0.043
H 0.529 0.821 0.561
H 0.568 0.076 0.187
H 0.668 0.343 0.148
H 0.704 0.793 0.684
H 0.746 0.745 0.654
H 0.822 0.049 0.543
H 0.881 0.689 0.267
H 0.919 0.658 0.144
O 0.015 0.749 0.588
O 0.047 0.248 0.161
O 0.070 0.854 0.305
O 0.092 0.420 0.966
O 0.100 0.108 0.904
O 0.138 0.870 0.576
O 0.150 0.953 0.757
O 0.199 0.329 0.843
O 0.205 0.074 0.468
O 0.259 0.643 0.254
O 0.275 0.698 0.101
O 0.281 0.244 0.042
O 0.296 0.188 0.671
O 0.297 0.101 0.243
O 0.297 0.591 0.819
O 0.334 0.588 0.670
O 0.348 0.366 0.203
O 0.370 0.746 0.423
O 0.435 0.294 0.930
O 0.446 0.535 0.526
O 0.481 0.858 0.250
O 0.486 0.901 0.015
O 0.505 0.387 0.269
O 0.523 0.409 0.759
O 0.538 0.291 0.601
O 0.546 0.601 0.178
O 0.589 0.262 0.989
O 0.594 0.709 0.798
O 0.617 0.269 0.444
O 0.628 0.131 0.716
O 0.685 0.652 0.460
O 0.717 0.964 0.915
O 0.746 0.993 0.490
O 0.804 0.535 0.285
O 0.805 0.672 0.926
O 0.811 0.088 0.090
O 0.822 0.043 0.425
O 0.834 0.534 0.577
O 0.845 0.231 0.329
O 0.883 0.332 0.776
O 0.903 0.793 0.252
O 0.907 0.233 0.091
O 0.915 0.111 0.644
O 0.918 0.842 0.825
O 0.921 0.559 0.109
O 0.963 0.729 0.432
O 0.970 0.739 0.983
O 0.982 0.469 0.459

Calculated values
E above lowest polymorph = 519 meV per atom
calculated volume = 1173 Å³ per cell


# 2
Material: BiB3O6
Method: DFT, GGA-PBE
State: relaxed

Unit cell a=4.414 b=4.414 c=6.652 alpha=101.33 beta=101.33 gamma=72.54
Positions (direct):
Bi 0.000 0.000 0.000
B 0.323 0.178 0.695
B 0.734 0.266 0.500
B 0.822 0.677 0.305
O 0.424 0.281 0.549
O 0.495 0.077 0.878
O 0.719 0.576 0.451
O 0.813 0.004 0.320
O 0.923 0.505 0.122
O 0.996 0.187 0.680

Calculated values
maximum piezoelectric response = 1.162 C/m²
E above lowest polymorph = 1 meV per atom
calculated volume = 120 Å³ per cell


The lowest E above lowest polymorph belongs to which entry?
BiB3O6